# Tl3Fe2S4

Tl3Fe2S4 after structural relaxation (GGA-PBE, the Materials Project).

## Properties
E = -0.178 hartree per atom
DFT formation energy = -5.14 eV/f.u.
Crystal system = orthorhombic

a = 7.4823 Å, b = 10.6428 Å, c = 11.3091 Å
α = 90.00°, β = 90.00°, γ = 90.00°
With the nearest neighbours (Å) after each atom.
Space group Pnma (No. 62)
One atom of each set of equivalent atoms:
Tl1 0.0481 0.0771 0.1373 x8  5 S 3.13-3.39
Tl2 0.0894 0.2500 0.7749 x4  6 S 3.10-3.30
Fe1 0.0336 0.1272 0.4673 x8  4 S 2.26-2.29
S1 0.1156 0.7500 0.6661 x4  2 Fe 2.29
S2 0.1346 0.5512 0.3829 x8  2 Fe 2.26
S3 0.2343 0.7500 0.0265 x4  2 Fe 2.27

# Mg14ZrW

Mg14ZrW after structural relaxation (GGA-PBE, the Materials Project).

## Properties
E = -0.096 hartree per atom
DFT formation energy = 2.15 eV/f.u.
Crystal system = orthorhombic

a = 10.1255 Å, b = 6.1212 Å, c = 11.2086 Å
α = 90.00°, β = 90.00°, γ = 90.00°
With the nearest neighbours (Å) after each atom.
Space group Amm2 (No. 38)
One atom of each set of equivalent atoms:
Mg1 0.0000 0.0000 0.0000 x2  12 Mg 3.06-3.20
Mg2 0.0000 0.0000 0.4977 x2  12 Mg 3.06-3.22
Mg3 0.0000 0.2479 0.2497 x4  12 Mg 3.03-3.24
Mg4 0.2479 0.0000 0.6602 x4  11 Mg 3.06-3.23, 1 Zr 3.10
Mg5 0.2578 0.2439 0.9155 x8  10 Mg 2.99-3.31, 1 W 3.03, 1 Zr 3.07
Mg6 0.2626 0.0000 0.1559 x4  1 W 2.96, 11 Mg 3.06-3.31
Mg7 0.5000 0.2463 0.7523 x4  8 Mg 3.02-3.14, 2 Zr 3.18-3.21, 2 W 3.18-3.21
Zr1 0.5000 0.0000 0.5027 x2  2 W 3.06, 10 Mg 3.07-3.21
W1 0.5000 0.0000 0.0020 x2  10 Mg 2.96-3.21, 2 Zr 3.06

# MgCu2P2O7

MgCu2P2O7 after structural relaxation (GGA-PBE, the Materials Project).

## Properties
E = -0.234 hartree per atom
DFT formation energy = -25.97 eV/f.u.
Crystal system = monoclinic

a = 7.5349 Å, b = 8.2818 Å, c = 5.9446 Å
α = 90.00°, β = 122.16°, γ = 90.00°
With the nearest neighbours (Å) after each atom.
Space group C2 (No. 5)
One atom of each set of equivalent atoms:
Mg1 0.0000 0.0000 0.0000 x2  4 O 2.03-2.04
Cu1 0.0000 0.3542 0.5000 x2  4 O 2.13-2.16
Cu2 0.0000 0.9670 0.5000 x2  4 O 2.05-2.26
P1 0.1597 0.6589 0.9338 x4  4 O 1.53-1.63
O1 0.0000 0.5688 0.0000 x2  2 P 1.63
O2 0.0591 0.8222 0.8113 x4  1 P 1.53
O3 0.1213 0.1691 0.8031 x4  1 P 1.56
O4 0.1892 0.5469 0.7512 x4  1 P 1.53

# LaGeIr

LaGeIr after structural relaxation (GGA-PBE, the Materials Project).

## Properties
E = -0.257 hartree per atom
DFT formation energy = -2.55 eV/f.u.
Crystal system = tetragonal

a = 4.3363 Å, b = 4.3363 Å, c = 14.5077 Å
α = 90.00°, β = 90.00°, γ = 90.00°
With the nearest neighbours (Å) after each atom.
Space group I4_1md (No. 109)
One atom of each set of equivalent atoms:
La1 0.0000 0.0000 0.0000 x4  6 Ir 3.22-3.31, 6 Ge 3.25-3.30
Ge1 0.0000 0.0000 0.4165 x4  3 Ir 2.45-2.47
Ir1 0.0000 0.0000 0.5854 x4  3 Ge 2.45-2.47

# AlCo

AlCo after structural relaxation (GGA-PBE, the Materials Project).

## Properties
E = -0.222 hartree per atom
DFT formation energy = -1.22 eV/f.u.
Crystal system = cubic

a = 2.8540 Å, b = 2.8540 Å, c = 2.8540 Å
α = 90.00°, β = 90.00°, γ = 90.00°
With the nearest neighbours (Å) after each atom.
Space group Pm-3m (No. 221)
One atom of each set of equivalent atoms:
Al1 0.0000 0.0000 0.0000 x1  8 Co 2.47
Co1 0.5000 0.5000 0.5000 x1  8 Al 2.47

# Zr5In3Ag

Zr5In3Ag after structural relaxation (GGA-PBE, the Materials Project).

## Properties
E = -0.228 hartree per atom
DFT formation energy = -1.99 eV/f.u.
Crystal system = hexagonal

a = 8.8371 Å, b = 8.8371 Å, c = 5.9861 Å
α = 90.00°, β = 90.00°, γ = 120.00°
With the nearest neighbours (Å) after each atom.
Space group P6_3/mcm (No. 193)
One atom of each set of equivalent atoms:
Zr1 0.0000 0.2932 0.2500 x6  5 In 2.98-3.07, 2 Ag 2.99
Zr2 0.3333 0.6667 0.0000 x4  2 Zr 2.99, 6 In 3.18
In1 0.0000 0.3684 0.7500 x6  9 Zr 2.98-3.18
Ag1 0.0000 0.0000 0.0000 x2  6 Zr 2.99, 2 Ag 2.99

# Ti6Ga16Ru7

Ti6Ga16Ru7 after structural relaxation (GGA-PBE, the Materials Project).

## Properties
E = -0.217 hartree per atom
DFT formation energy = -10.79 eV/f.u.
Crystal system = cubic

a = 12.2526 Å, b = 12.2526 Å, c = 12.2526 Å
α = 90.00°, β = 90.00°, γ = 90.00°
With the nearest neighbours (Å) after each atom.
Space group Fm-3m (No. 225)
One atom of each set of equivalent atoms:
Ti1 0.0000 0.0000 0.2233 x24  8 Ga 2.72-2.84
Ga1 0.1231 0.1231 0.3769 x32  4 Ru 2.61-2.67, 3 Ga 2.84, 3 Ti 2.84
Ga2 0.1479 0.1479 0.1479 x32  3 Ru 2.53, 3 Ti 2.72
Ru1 0.0000 0.0000 0.5000 x4  8 Ga 2.61
Ru2 0.0000 0.2500 0.2500 x24  8 Ga 2.53-2.67

# Mn5Si2Ge

Mn5Si2Ge after structural relaxation (GGA-PBE, the Materials Project).

## Properties
E = -0.291 hartree per atom
DFT formation energy = -2.07 eV/f.u.
Crystal system = orthorhombic

a = 4.8541 Å, b = 12.0723 Å, c = 6.9729 Å
α = 90.00°, β = 90.00°, γ = 90.00°
With the nearest neighbours (Å) after each atom.
Space group Amm2 (No. 38)
One atom of each set of equivalent atoms:
Mn1 0.0000 0.0000 0.0000 x2  2 Ge 2.42, 3 Si 2.44-2.63
Mn2 0.0000 0.1196 0.3783 x4  3 Si 2.38-2.65, 2 Ge 2.45-2.52
Mn3 0.2537 0.1645 0.7496 x8  2 Mn 2.39-2.46, 4 Si 2.43-2.47, 2 Ge 2.48-2.49
Mn4 0.5000 0.0000 0.4998 x2  5 Si 2.41-2.64
Mn5 0.5000 0.1221 0.1280 x4  3 Si 2.41-2.52, 2 Ge 2.64
Si1 0.0000 0.0000 0.6502 x2  9 Mn 2.38-2.64
Si2 0.5000 0.0000 0.8550 x2  9 Mn 2.41-2.63
Si3 0.5000 0.1973 0.4475 x4  9 Mn 2.41-2.65
Ge1 0.0000 0.1980 0.0542 x4  9 Mn 2.42-2.64